An optimized crystal structure of BaLaMgRuO6. Source: the Materials Project, functional PBE.

Lattice parameters (Å, degrees): 5.714 5.714 5.714 120.57 120.57 89.02
Positions (direct):
Ba  0.000  0.000  0.000
La  0.500  0.500  0.000
Mg  0.250  0.750  0.500
Ru  0.750  0.250  0.500
O  0.057  0.464  0.987
O  0.478  0.071  0.013
O  0.507  0.007  0.500
O  0.536  0.522  0.593
O  0.929  0.943  0.407
O  0.993  0.493  0.500

Values from the calculation:
total energy = -70.9 eV per cell
piezoelectric modulus e_max = 0.841 C/m²
energy of formation = -2759 meV/atom
calculated density = 6319 kg/m³
space-group type = No. 82

=====

An optimized crystal structure of BaLaMgTaO6. Source: the Materials Project, functional PBE.

Lattice parameters (Å, degrees): 5.746 5.746 5.746 60.00 60.00 60.00
Positions (direct):
Ba  0.000  0.000  0.000
La  0.500  0.500  0.500
Mg  0.750  0.750  0.750
Ta  0.250  0.250  0.250
O  0.004  0.004  0.496
O  0.004  0.496  0.004
O  0.004  0.496  0.496
O  0.496  0.004  0.004
O  0.496  0.004  0.496
O  0.496  0.496  0.004

Values from the calculation:
total energy = -80.3 eV per cell
piezoelectric modulus e_max = 0.235 C/m²
energy of formation = -3439 meV/atom
calculated density = 7150 kg/m³
space-group type = No. 216

=====

An optimized crystal structure of Ba2LaNbO6. Source: the Materials Project, functional PBE.

Lattice parameters (Å, degrees): 6.211 6.211 6.211 60.00 60.00 60.00
Positions (direct):
Ba  0.250  0.250  0.250
Ba  0.750  0.750  0.750
La  0.000  0.000  0.000
Nb  0.500  0.500  0.500
O  0.269  0.269  0.731
O  0.269  0.731  0.269
O  0.269  0.731  0.731
O  0.731  0.269  0.269
O  0.731  0.269  0.731
O  0.731  0.731  0.269

Values from the calculation:
total energy = -78.1 eV per cell
energy of formation = -3364 meV/atom
calculated density = 5906 kg/m³
space-group type = No. 225